Computed, not measured: an optimized crystal structure of CsTaV2O8 at the PBE with a Hubbard U level of DFT.

Mass density   4.15 Mg/m³
E_tot   -376.5 eV/cell

The structure in CIF format:
```
data_CsTaV2O8
_chemical_formula_sum 'Cs4 Ta4 V8 O32'
_cell_length_a 9.307
_cell_length_b 5.712
_cell_length_c 16.995
_cell_angle_alpha 90.00
_cell_angle_beta 105.59
_cell_angle_gamma 90.00
_space_group_name_H-M_alt 'P 1 21/m 1'
_space_group_IT_number 11
loop_
_space_group_symop_operation_xyz
'x,y,z'
'-x,-y,-z'
'-x,y+1/2,-z'
'x,-y+1/2,z'
loop_
_atom_site_label
_atom_site_type_symbol
_atom_site_fract_x
_atom_site_fract_y
_atom_site_fract_z
Cs1 Cs 0.009 0.250 0.111
Cs2 Cs 0.467 0.250 0.383
Ta1 Ta 0.088 0.750 0.651
Ta2 Ta 0.418 0.750 0.847
V1 V 0.116 0.750 0.298
V2 V 0.210 0.250 0.544
V3 V 0.294 0.250 0.950
V4 V 0.355 0.750 0.168
O1 O 0.009 0.007 0.294
O2 O 0.102 0.250 0.442
O3 O 0.120 0.250 0.958
O4 O 0.172 0.505 0.595
O5 O 0.196 0.750 0.212
O6 O 0.253 0.750 0.383
O7 O 0.264 0.750 0.744
O8 O 0.282 0.750 0.069
O9 O 0.317 0.503 0.893
O10 O 0.390 0.250 0.548
O11 O 0.419 0.250 0.047
O12 O 0.463 0.007 0.196
```